Entry 1:
A plane-wave DFT calculation with GGA+U was carried out for a geometry-optimized Li4Si2NiO7 structure.

Cell: 4.5103 5.3165 13.5427 Å, 81.02 89.96 115.11°
Last column: nearest neighbours and their distance in Å.
Fractional positions:
Si 0.5540 0.1461 0.6443  4 O 1.62-1.72
Si 0.4044 0.8466 0.8548  4 O 1.62-1.72
Si 0.5733 0.1463 0.1436  4 O 1.62-1.72
Si 0.4238 0.8469 0.3555  4 O 1.62-1.72
O 0.2220 0.8946 0.6106  1 Si 1.65
O 0.3421 0.1008 0.3849  1 Si 1.65
O 0.5899 0.7323 0.9430  1 Si 1.64
O 0.0791 0.5897 0.8270  1 Si 1.62
O 0.6910 0.9967 0.2495  2 Si 1.72
O 0.8544 0.2607 0.5561  1 Si 1.64
O 0.6100 0.7379 0.4450  1 Si 1.64
O 0.2377 0.8924 0.1142  1 Si 1.65
O 0.4859 0.4032 0.6721  1 Si 1.62
O 0.6712 0.9965 0.7495  2 Si 1.72
O 0.8685 0.2553 0.0539  1 Si 1.65
O 0.0997 0.5845 0.3295  1 Si 1.62
O 0.5119 0.4089 0.1696  1 Si 1.62
O 0.3232 0.0978 0.8884  1 Si 1.65
Li 0.2907 0.5776 0.5735  4 O 1.93-2.08
Li 0.8757 0.6992 0.2202  4 O 1.93-2.16
Li 0.7094 0.4153 0.9255  4 O 1.93-2.08
Li 0.1530 0.2915 0.7829  3 O 1.93-1.98
Li 0.7249 0.4269 0.4271  4 O 1.94-2.03
Li 0.1728 0.2938 0.2790  4 O 1.93-2.16
Li 0.8580 0.7011 0.7162  3 O 1.93-1.98
Li 0.2944 0.5663 0.0720  4 O 1.94-2.03
Ni 0.0102 0.0186 0.4960  4 O 1.98-2.00
Ni 0.9878 0.9741 0.0032  4 O 1.98-2.00

## Properties
final energy	-6.295	eV/atom
total magnetization	2.00	μB per formula unit
ΔE to the lowest computed polymorph	0.15	eV per formula unit
SG	C2 (5)
energy of formation	-2.613	eV/atom
crystal system	monoclinic


Entry 2:
A plane-wave DFT calculation with GGA+U was carried out for a geometry-optimized Li2SiNiO4 structure.

Cell: 4.9956 6.3409 10.6652 Å, 90.00 90.00 90.00°
Last column: nearest neighbours and their distance in Å.
Fractional positions:
O 0.7988 0.9622 0.6581  1 Si 1.65
O 0.7962 0.7500 0.4367  1 Si 1.65
O 0.2012 0.4622 0.3419  1 Si 1.65
O 0.7012 0.5378 0.1581  1 Si 1.65
O 0.7988 0.5378 0.6581  1 Si 1.65
O 0.2988 0.0378 0.8419  1 Si 1.65
O 0.8598 0.2500 0.9160  1 Si 1.66
O 0.1402 0.7500 0.0840  1 Si 1.66
O 0.2038 0.2500 0.5633  1 Si 1.65
O 0.7012 0.9622 0.1581  1 Si 1.65
O 0.7038 0.7500 0.9367  1 Si 1.65
O 0.2962 0.2500 0.0633  1 Si 1.65
O 0.2012 0.0378 0.3419  1 Si 1.65
O 0.6402 0.2500 0.4160  1 Si 1.66
O 0.2988 0.4622 0.8419  1 Si 1.65
O 0.3598 0.7500 0.5840  1 Si 1.66
Ni 0.3011 0.7500 0.9145  4 O 1.98-2.03
Ni 0.6989 0.2500 0.0855  4 O 1.98-2.03
Ni 0.1989 0.7500 0.4145  4 O 1.98-2.03
Ni 0.8011 0.2500 0.5855  4 O 1.98-2.03
Li 0.2029 0.9939 0.6661  4 O 1.94-2.03
Li 0.7029 0.4939 0.8339  4 O 1.94-2.03
Li 0.7029 0.0061 0.8339  4 O 1.94-2.03
Li 0.2971 0.5061 0.1661  4 O 1.94-2.03
Li 0.2971 0.9939 0.1661  4 O 1.94-2.03
Li 0.7971 0.4939 0.3339  4 O 1.94-2.03
Li 0.2029 0.5061 0.6661  4 O 1.94-2.03
Li 0.7971 0.0061 0.3339  4 O 1.94-2.03
Si 0.6914 0.7500 0.5836  4 O 1.65-1.66
Si 0.1914 0.2500 0.9164  4 O 1.65-1.66
Si 0.8086 0.7500 0.0836  4 O 1.65-1.66
Si 0.3086 0.2500 0.4164  4 O 1.65-1.66

## Properties
final energy	-6.135	eV/atom
total magnetization	2.00	μB per formula unit
ΔE to the lowest computed polymorph	0.06	eV per formula unit
SG	Pnma (62)
energy of formation	-2.444	eV/atom
crystal system	orthorhombic


Entry 3:
A plane-wave DFT calculation with GGA+U was carried out for a geometry-optimized Li3SiNiO5 structure.

Cell: 4.9062 5.4016 15.7485 Å, 90.00 90.00 90.00°
Last column: nearest neighbours and their distance in Å.
Fractional positions:
O 0.0995 0.3496 0.7962  2 Ni 1.83-1.86, 2 Li 2.01-2.04
O 0.5995 0.6504 0.2038  2 Ni 1.83-1.86, 2 Li 2.01-2.04
O 0.1174 0.3081 0.1864  1 Si 1.69, 1 Ni 1.89
O 0.6174 0.6919 0.8136  1 Si 1.69, 1 Ni 1.89
O 0.1020 0.8104 0.4857  1 Si 1.61
O 0.0992 0.3741 0.3980  1 Si 1.62
O 0.6638 0.1793 0.1047  1 Si 1.69, 1 Ni 1.86
O 0.6638 0.6793 0.3953  1 Si 1.69, 1 Ni 1.86
O 0.5992 0.6259 0.6020  1 Si 1.62
O 0.1174 0.8081 0.3136  1 Si 1.69, 1 Ni 1.89
O 0.1638 0.3207 0.6047  1 Si 1.69, 1 Ni 1.86
O 0.0992 0.8741 0.1020  1 Si 1.62
O 0.1638 0.8207 0.8953  1 Si 1.69, 1 Ni 1.86
O 0.1020 0.3104 0.0143  1 Si 1.61
O 0.0995 0.8496 0.7038  2 Ni 1.83-1.86, 2 Li 2.01-2.04
O 0.6174 0.1919 0.6864  1 Si 1.69, 1 Ni 1.89
O 0.6020 0.1896 0.5143  1 Si 1.61
O 0.5995 0.1504 0.2962  2 Ni 1.83-1.86, 2 Li 2.01-2.04
O 0.6020 0.6896 0.9857  1 Si 1.61
O 0.5992 0.1259 0.8980  1 Si 1.62
Li 0.5001 0.8381 0.5046  4 O 1.97-2.08
Li 0.0001 0.1619 0.4954  4 O 1.97-2.08
Li 0.5001 0.3381 0.9954  4 O 1.97-2.08
Li 0.4981 0.3295 0.4059  4 O 1.93-2.06
Li 0.0087 0.6682 0.1973  4 O 1.92-2.05
Li 0.5087 0.8318 0.6973  4 O 1.92-2.05
Li 0.9981 0.6705 0.5941  4 O 1.93-2.06
Li 0.4981 0.8295 0.0941  4 O 1.93-2.06
Li 0.0087 0.1682 0.3027  4 O 1.92-2.05
Li 0.0001 0.6619 0.0046  4 O 1.97-2.08
Li 0.9981 0.1705 0.9059  4 O 1.93-2.06
Li 0.5087 0.3318 0.8027  4 O 1.92-2.05
Si 0.0060 0.1612 0.0979  4 O 1.61-1.69
Si 0.5060 0.8388 0.9021  4 O 1.61-1.69
Si 0.0060 0.6612 0.4021  4 O 1.61-1.69
Si 0.5060 0.3388 0.5979  4 O 1.61-1.69
Ni 0.5003 0.8183 0.3001  4 O 1.83-1.89
Ni 0.0003 0.6817 0.8001  4 O 1.83-1.89
Ni 0.5003 0.3183 0.1999  4 O 1.83-1.89
Ni 0.0003 0.1817 0.6999  4 O 1.83-1.89

## Properties
final energy	-5.850	eV/atom
total magnetization	3.00	μB per formula unit
ΔE to the lowest computed polymorph	0.00	eV per formula unit
SG	Pna2_1 (33)
energy of formation	-2.280	eV/atom
crystal system	orthorhombic


Entry 4:
A plane-wave DFT calculation with GGA+U was carried out for a geometry-optimized Li2SiNiO4 structure.

Cell: 5.2946 12.5686 5.2925 Å, 88.78 92.67 91.27°
Last column: nearest neighbours and their distance in Å.
Fractional positions:
O 0.3066 0.7330 0.3055  1 Si 1.65
O 0.3031 0.0173 0.3075  1 Si 1.65
O 0.6976 0.2667 0.6921  1 Si 1.65
O 0.1349 0.3770 0.7914  1 Si 1.65
O 0.3077 0.2329 0.3025  1 Si 1.65
O 0.8667 0.1221 0.2097  1 Si 1.66
O 0.7959 0.3731 0.1304  1 Si 1.65
O 0.8678 0.6221 0.2104  1 Si 1.66
O 0.6924 0.9830 0.6975  1 Si 1.65
O 0.6968 0.4835 0.6942  1 Si 1.65
O 0.2098 0.1279 0.8663  1 Si 1.66
O 0.6951 0.7662 0.6965  1 Si 1.65
O 0.7921 0.8730 0.1349  1 Si 1.65
O 0.3058 0.5173 0.3064  1 Si 1.65
O 0.2109 0.6280 0.8675  1 Si 1.66
O 0.1308 0.8769 0.7953  1 Si 1.65
Li 0.8183 0.6249 0.8173  4 O 1.99-2.08
Li 0.8163 0.1249 0.8163  4 O 1.99-2.09
Li 0.3119 0.0041 0.6888  4 O 1.93-2.04
Li 0.6878 0.7452 0.3160  4 O 1.94-2.04
Li 0.1786 0.8750 0.1824  4 O 2.01-2.05
Li 0.1825 0.3752 0.1783  4 O 2.01-2.05
Li 0.3163 0.5048 0.6874  4 O 1.94-2.04
Li 0.6890 0.2459 0.3115  4 O 1.93-2.04
Si 0.1774 0.6251 0.1772  4 O 1.65-1.66
Si 0.8214 0.8747 0.8252  4 O 1.65
Si 0.8255 0.3751 0.8208  4 O 1.65
Si 0.1763 0.1250 0.1760  4 O 1.65-1.66
Ni 0.3179 0.7554 0.6774  4 O 1.96-2.00
Ni 0.3202 0.2547 0.6744  4 O 1.96-2.00
Ni 0.6775 0.4948 0.3169  4 O 1.96-2.00
Ni 0.6748 0.9953 0.3202  4 O 1.96-2.00

## Properties
final energy	-6.124	eV/atom
total magnetization	0.00	μB per formula unit
ΔE to the lowest computed polymorph	0.14	eV per formula unit
SG	C2 (5)
energy of formation	-2.433	eV/atom
crystal system	monoclinic